VTe4Cl4O: relaxed, PBE+U.

* crystal system: tetragonal

CIF file:
```
data_VTe4Cl4O
_cell_length_a 16.8099
_cell_length_b 16.8099
_cell_length_c 14.7371
_cell_angle_alpha 90.00
_cell_angle_beta 90.00
_cell_angle_gamma 90.00
_space_group_name_H-M_alt 'I 41/a'
_space_group_IT_number 88
loop_
_space_group_symop_operation_xyz
'x,y,z'
'-x,-y,-z'
'-y+3/4,x+1/4,z+1/4'
'y+3/4,-x+1/4,-z+1/4'
'-x+1/2,-y,z+1/2'
'x+1/2,y,-z+1/2'
'y+3/4,-x+3/4,z+3/4'
'-y+3/4,x+3/4,-z+3/4'
'x+1/2,y+1/2,z+1/2'
'-x+1/2,-y+1/2,-z+1/2'
'-y+1/4,x+3/4,z+3/4'
'y+1/4,-x+3/4,-z+3/4'
'-x,-y+1/2,z'
'x,y+1/2,-z'
'y+1/4,-x+1/4,z+1/4'
'-y+1/4,x+1/4,-z+1/4'
loop_
_atom_site_label
_atom_site_fract_x
_atom_site_fract_y
_atom_site_fract_z
V1 0.2456 0.0030 0.1462
Te1 0.0381 0.3595 0.2589
Te2 0.0377 0.3597 0.9662
Te3 0.0427 0.3580 0.7563
Te4 0.0449 0.3600 0.5186
Cl1 0.1071 0.0351 0.1346
Cl2 0.1075 0.0282 0.8813
Cl3 0.1125 0.0398 0.3880
Cl4 0.1146 0.0388 0.6358
O1 0.2466 0.4987 0.9885
```

Cs11Fe10S16O: relaxed, PBE+U.

* crystal system: tetragonal

CIF file:
```
data_Cs11Fe10S16O
_cell_length_a 12.4953
_cell_length_b 12.4953
_cell_length_c 14.4190
_cell_angle_alpha 90.00
_cell_angle_beta 90.00
_cell_angle_gamma 90.00
_space_group_name_H-M_alt 'I 4/m m m'
_space_group_IT_number 139
_space_group_name_Hall '-I 4 2'
loop_
_atom_site_label
_atom_site_fract_x
_atom_site_fract_y
_atom_site_fract_z
Cs1 0.0000 0.0000 0.0000
Cs2 0.0000 0.0000 0.2830
Cs3 0.0000 0.3291 0.0000
Cs4 0.1675 0.1675 0.5000
Fe1 0.0000 0.5000 0.2500
Fe2 0.1678 0.3322 0.2500
S1 0.0000 0.3450 0.3403
S2 0.1772 0.1772 0.1547
O1 0.0000 0.0000 0.5000
```

K3FeO3: relaxed, PBE+U.

* crystal system: monoclinic

CIF file:
```
data_K3FeO3
_cell_length_a 7.2063
_cell_length_b 11.4025
_cell_length_c 6.6111
_cell_angle_alpha 90.00
_cell_angle_beta 101.13
_cell_angle_gamma 90.00
_space_group_name_H-M_alt 'C 1 2/m 1'
_space_group_IT_number 12
loop_
_space_group_symop_operation_xyz
'x,y,z'
'-x,-y,-z'
'-x,y,-z'
'x,-y,z'
'x+1/2,y+1/2,z'
'-x+1/2,-y+1/2,-z'
'-x+1/2,y+1/2,-z'
'x+1/2,-y+1/2,z'
loop_
_atom_site_label
_atom_site_fract_x
_atom_site_fract_y
_atom_site_fract_z
K1 0.0000 0.1959 0.0000
K2 0.0000 0.2596 0.5000
K3 0.1277 0.5000 0.8538
Fe1 0.1717 0.0000 0.6445
O1 0.0993 0.0000 0.3387
O2 0.2035 0.3647 0.2364
```

no.,formation energy from the elements (eV/atom)
1,-0.6541
2,-0.9014
3,-1.6437